VASP calculation (PBE with a Hubbard U) on an optimized crystal structure of Na2Li2V3P2O13.

Values from the calculation:
- Space group: P2_1/c, No. 14
- ΔH_f (0 K): -2.549 eV per atom
- V: 12.74 Å³ per atom
- MP2020-corrected energy: -7.497 eV/atom

Cell lengths 10.3075, 12.3487, 8.8137 Å; angles 90.00, 91.89, 90.00 degrees
Last column: nearest neighbours and their distance in Å.
Positions (direct):
Na (0.2017, 0.0284, 0.4322)  2 O 2.28-2.47
Na (0.2017, 0.4716, 0.9322)  2 O 2.28-2.47
Na (0.2846, 0.0278, 0.8796)  5 O 2.32-2.51
Na (0.2846, 0.4722, 0.3796)  5 O 2.32-2.51
Na (0.7154, 0.5278, 0.6204)  5 O 2.32-2.51
Na (0.7154, 0.9722, 0.1204)  5 O 2.32-2.51
Na (0.7983, 0.5284, 0.0678)  2 O 2.28-2.47
Na (0.7983, 0.9716, 0.5678)  2 O 2.28-2.47
Li (0.2421, 0.2366, 0.1315)  3 O 2.03-2.18
Li (0.2421, 0.2634, 0.6315)  3 O 2.03-2.18
Li (0.2631, 0.5861, 0.6902)  3 O 2.01-2.09
Li (0.2631, 0.9139, 0.1902)  3 O 2.01-2.09
Li (0.7369, 0.0861, 0.8098)  3 O 2.01-2.09
Li (0.7369, 0.4139, 0.3098)  3 O 2.01-2.09
Li (0.7579, 0.7366, 0.3685)  3 O 2.03-2.18
Li (0.7579, 0.7634, 0.8685)  3 O 2.03-2.18
V (0.0259, 0.1421, 0.7580)  2 O 1.69-1.83
V (0.0259, 0.3579, 0.2580)  2 O 1.69-1.83
V (0.2530, 0.7431, 0.4274)  1 O 1.68
V (0.2530, 0.7569, 0.9274)  1 O 1.68
V (0.4735, 0.1228, 0.2430)  2 O 1.73-1.80
V (0.4735, 0.3772, 0.7430)  2 O 1.73-1.80
V (0.5265, 0.6228, 0.2570)  2 O 1.73-1.80
V (0.5265, 0.8772, 0.7570)  2 O 1.73-1.80
V (0.7470, 0.2431, 0.0726)  1 O 1.68
V (0.7470, 0.2569, 0.5726)  1 O 1.68
V (0.9741, 0.6421, 0.7420)  2 O 1.69-1.83
V (0.9741, 0.8579, 0.2420)  2 O 1.69-1.83
P (0.0199, 0.1152, 0.1283)  4 O 1.54-1.57
P (0.0199, 0.3848, 0.6283)  4 O 1.54-1.57
P (0.4772, 0.1265, 0.6203)  4 O 1.54-1.56
P (0.4772, 0.3735, 0.1203)  4 O 1.54-1.56
P (0.5228, 0.6265, 0.8797)  4 O 1.54-1.56
P (0.5228, 0.8735, 0.3797)  4 O 1.54-1.56
P (0.9801, 0.6152, 0.3717)  4 O 1.54-1.57
P (0.9801, 0.8848, 0.8717)  4 O 1.54-1.57
O (0.0638, 0.0023, 0.1874)  1 P 1.55
O (0.0638, 0.4977, 0.6874)  1 P 1.55
O (0.0713, 0.1985, 0.2501)  1 P 1.57
O (0.0713, 0.3015, 0.7501)  1 P 1.57
O (0.0903, 0.1460, 0.9792)  1 P 1.57
O (0.0903, 0.3540, 0.4792)  1 P 1.57
O (0.1235, 0.6538, 0.8593)  2 V 1.83-1.93
O (0.1235, 0.8462, 0.3593)  2 V 1.83-1.93
O (0.1289, 0.6171, 0.3929)  1 P 1.54
O (0.1289, 0.8829, 0.8929)  1 P 1.54
O (0.1567, 0.1037, 0.6605)  1 V 1.69
O (0.1567, 0.3963, 0.1605)  1 V 1.69
O (0.2562, 0.7401, 0.6179)  1 V 1.68
O (0.2562, 0.7599, 0.1179)  1 V 1.68
O (0.3362, 0.0696, 0.1538)  1 V 1.73
O (0.3362, 0.4304, 0.6538)  1 V 1.73
O (0.3717, 0.6296, 0.8810)  1 P 1.56
O (0.3717, 0.8704, 0.3810)  1 P 1.56
O (0.3871, 0.6440, 0.3715)  2 V 1.80-1.92
O (0.3871, 0.8560, 0.8715)  2 V 1.80-1.92
O (0.4153, 0.1394, 0.4582)  1 P 1.55
O (0.4153, 0.3606, 0.9582)  1 P 1.55
O (0.4194, 0.2188, 0.7188)  1 P 1.56
O (0.4194, 0.2812, 0.2188)  1 P 1.56
O (0.4374, 0.0185, 0.6924)  1 P 1.54
O (0.4374, 0.4815, 0.1924)  1 P 1.54
O (0.5626, 0.5185, 0.8076)  1 P 1.54
O (0.5626, 0.9815, 0.3076)  1 P 1.54
O (0.5806, 0.7188, 0.7812)  1 P 1.56
O (0.5806, 0.7812, 0.2812)  1 P 1.56
O (0.5847, 0.6394, 0.0418)  1 P 1.55
O (0.5847, 0.8606, 0.5418)  1 P 1.55
O (0.6129, 0.1440, 0.1285)  2 V 1.80-1.92
O (0.6129, 0.3560, 0.6285)  2 V 1.80-1.92
O (0.6283, 0.1296, 0.6190)  1 P 1.56
O (0.6283, 0.3704, 0.1190)  1 P 1.56
O (0.6638, 0.5696, 0.3462)  1 V 1.73
O (0.6638, 0.9304, 0.8462)  1 V 1.73
O (0.7438, 0.2401, 0.8821)  1 V 1.68
O (0.7438, 0.2599, 0.3821)  1 V 1.68
O (0.8433, 0.6037, 0.8395)  1 V 1.69
O (0.8433, 0.8963, 0.3395)  1 V 1.69
O (0.8711, 0.1171, 0.1071)  1 P 1.54
O (0.8711, 0.3829, 0.6071)  1 P 1.54
O (0.8765, 0.1538, 0.6407)  2 V 1.83-1.93
O (0.8765, 0.3462, 0.1407)  2 V 1.83-1.93
O (0.9097, 0.6460, 0.5208)  1 P 1.57
O (0.9097, 0.8540, 0.0208)  1 P 1.57
O (0.9287, 0.6985, 0.2499)  1 P 1.57
O (0.9287, 0.8015, 0.7499)  1 P 1.57
O (0.9362, 0.5023, 0.3126)  1 P 1.55
O (0.9362, 0.9977, 0.8126)  1 P 1.55